The following is a PBE calculation of a geometry-optimized Na10Zr5Zn3Si6S6O48 structure, from Materials Project.

Values from the calculation:
E_form   -2.611 eV/atom
Corrected total energy (MP2020 scheme)   -7.158 eV/atom
Total energy   -525.309 eV per formula unit

Cell: 18.269 9.142 22.862 Å, 90.00 89.80 120.05°
Fractional coordinates of all 234 atoms:
Na 0.319 0.004 0.243
Na 0.196 0.371 0.244
Na 0.689 0.367 0.243
Na 0.997 0.639 0.249
Na 0.318 0.617 0.753
Na 0.819 0.627 0.747
Na 0.994 0.361 0.749
Na 0.495 0.372 0.741
Na 0.183 0.011 0.746
Na 0.687 0.012 0.748
Na 0.647 0.347 0.576
Na 0.324 0.688 0.079
Na 0.826 0.691 0.087
Na 0.164 0.317 0.923
Na 0.993 0.308 0.421
Na 0.165 0.029 0.420
Na 0.661 0.026 0.413
Na 0.841 0.667 0.418
Na 0.002 0.005 0.500
Na 0.492 0.011 0.493
Na 0.006 0.025 0.999
Na 0.503 0.025 0.996
Na 0.344 0.356 0.833
Na 0.839 0.335 0.828
Na 0.339 0.363 0.326
Na 0.832 0.331 0.328
Na 0.168 0.665 0.156
Na 0.664 0.666 0.158
Na 0.161 0.659 0.658
Na 0.660 0.668 0.659
Zr 0.000 0.992 0.353
Zr 0.000 0.006 0.849
Zr 0.503 0.998 0.856
Zr 0.001 0.002 0.650
Zr 0.502 0.006 0.646
Zr 0.005 0.998 0.147
Zr 0.501 0.002 0.146
Zr 0.334 0.338 0.979
Zr 0.830 0.327 0.981
Zr 0.338 0.338 0.484
Zr 0.833 0.334 0.478
Zr 0.172 0.665 0.316
Zr 0.672 0.669 0.316
Zr 0.160 0.648 0.818
Zr 0.660 0.657 0.813
Zn 0.498 0.000 0.350
Zn 0.342 0.356 0.682
Zn 0.836 0.336 0.691
Zn 0.327 0.348 0.186
Zn 0.829 0.344 0.179
Zn 0.168 0.628 0.013
Zn 0.656 0.627 0.018
Zn 0.159 0.652 0.510
Zn 0.660 0.644 0.513
Si 0.151 0.001 0.251
Si 0.359 0.711 0.253
Si 0.851 0.699 0.247
Si 0.151 0.297 0.749
Si 0.648 0.292 0.749
Si 0.003 0.708 0.750
Si 0.498 0.706 0.749
Si 0.852 0.000 0.749
Si 0.484 0.342 0.587
Si 0.184 0.335 0.085
Si 0.685 0.340 0.086
Si 0.316 0.672 0.920
Si 0.014 0.363 0.919
Si 0.518 0.370 0.917
Si 0.809 0.951 0.422
Si 0.169 0.372 0.418
Si 0.658 0.357 0.418
Si 0.024 0.670 0.418
S 0.648 0.998 0.251
S 0.998 0.292 0.250
S 0.501 0.295 0.251
S 0.354 0.998 0.751
S 0.981 0.334 0.584
S 0.186 0.035 0.584
S 0.688 0.038 0.585
S 0.329 0.630 0.585
S 0.836 0.630 0.585
S 0.481 0.624 0.086
S 0.981 0.624 0.084
S 0.333 0.042 0.087
S 0.832 0.042 0.085
S 0.814 0.668 0.919
S 0.166 0.956 0.919
S 0.668 0.955 0.920
S 0.315 0.961 0.420
S 0.520 0.665 0.418
O 0.105 0.029 0.308
O 0.612 0.026 0.305
O 0.414 0.814 0.308
O 0.909 0.797 0.305
O 0.490 0.196 0.304
O 0.988 0.196 0.305
O 0.107 0.182 0.808
O 0.600 0.165 0.803
O 0.483 0.799 0.805
O 0.987 0.799 0.806
O 0.407 0.023 0.803
O 0.915 0.036 0.804
O 0.393 0.970 0.698
O 0.897 0.960 0.692
O 0.084 0.206 0.695
O 0.587 0.210 0.690
O 0.021 0.835 0.693
O 0.512 0.828 0.692
O 0.400 0.830 0.192
O 0.896 0.814 0.189
O 0.010 0.204 0.199
O 0.518 0.213 0.199
O 0.086 0.971 0.196
O 0.593 0.982 0.199
O 0.439 0.351 0.647
O 0.938 0.345 0.637
O 0.234 0.119 0.638
O 0.736 0.122 0.638
O 0.318 0.534 0.639
O 0.828 0.527 0.637
O 0.441 0.521 0.138
O 0.944 0.530 0.140
O 0.330 0.125 0.141
O 0.827 0.128 0.138
O 0.239 0.361 0.144
O 0.739 0.368 0.147
O 0.231 0.312 0.026
O 0.736 0.315 0.030
O 0.427 0.544 0.033
O 0.923 0.532 0.034
O 0.345 0.150 0.035
O 0.845 0.149 0.032
O 0.230 0.143 0.530
O 0.730 0.149 0.532
O 0.340 0.538 0.533
O 0.843 0.542 0.531
O 0.422 0.320 0.530
O 0.930 0.318 0.531
O 0.278 0.704 0.979
O 0.777 0.693 0.972
O 0.077 0.452 0.972
O 0.575 0.455 0.973
O 0.156 0.854 0.969
O 0.661 0.855 0.970
O 0.273 0.857 0.471
O 0.766 0.825 0.475
O 0.146 0.453 0.473
O 0.647 0.433 0.478
O 0.087 0.722 0.472
O 0.572 0.691 0.469
O 0.062 0.630 0.358
O 0.559 0.638 0.364
O 0.261 0.883 0.365
O 0.749 0.873 0.362
O 0.183 0.482 0.357
O 0.679 0.488 0.361
O 0.056 0.471 0.856
O 0.560 0.484 0.857
O 0.176 0.880 0.863
O 0.679 0.882 0.864
O 0.254 0.641 0.862
O 0.763 0.647 0.865
O 0.006 0.828 0.410
O 0.511 0.817 0.412
O 0.400 0.989 0.413
O 0.905 0.983 0.411
O 0.083 0.183 0.410
O 0.583 0.164 0.407
O 0.010 0.178 0.913
O 0.508 0.183 0.909
O 0.091 0.984 0.913
O 0.593 0.977 0.915
O 0.411 0.829 0.911
O 0.901 0.816 0.912
O 0.492 0.165 0.586
O 0.987 0.176 0.585
O 0.100 0.022 0.584
O 0.603 0.033 0.586
O 0.410 0.798 0.586
O 0.915 0.799 0.585
O 0.482 0.794 0.090
O 0.979 0.790 0.086
O 0.411 0.020 0.088
O 0.909 0.020 0.087
O 0.088 0.162 0.088
O 0.591 0.166 0.089
O 0.343 0.146 0.746
O 0.842 0.165 0.743
O 0.243 0.310 0.741
O 0.741 0.315 0.743
O 0.417 0.517 0.747
O 0.921 0.521 0.744
O 0.344 0.521 0.248
O 0.846 0.513 0.247
O 0.425 0.308 0.241
O 0.925 0.317 0.244
O 0.246 0.161 0.246
O 0.734 0.147 0.244
O 0.317 0.490 0.922
O 0.822 0.511 0.923
O 0.422 0.346 0.923
O 0.920 0.344 0.924
O 0.243 0.131 0.921
O 0.745 0.131 0.922
O 0.318 0.130 0.423
O 0.821 0.143 0.427
O 0.249 0.338 0.425
O 0.750 0.351 0.422
O 0.433 0.510 0.423
O 0.929 0.499 0.426
O 0.177 0.507 0.082
O 0.682 0.515 0.081
O 0.067 0.658 0.077
O 0.567 0.660 0.079
O 0.258 0.873 0.082
O 0.757 0.873 0.079
O 0.178 0.867 0.579
O 0.676 0.870 0.578
O 0.256 0.653 0.577
O 0.760 0.645 0.582
O 0.066 0.486 0.581
O 0.580 0.505 0.581
O 0.152 0.822 0.256
O 0.651 0.838 0.253
O 0.262 0.695 0.255
O 0.755 0.674 0.254
O 0.078 0.461 0.253
O 0.579 0.467 0.254
O 0.161 0.486 0.754
O 0.656 0.480 0.756
O 0.091 0.702 0.755
O 0.587 0.701 0.755
O 0.269 0.842 0.756
O 0.761 0.829 0.758